A plane-wave DFT calculation with PBE with a Hubbard U was carried out for an optimized crystal structure of MnV3Co2P6O24.

Lattice parameters (Å, degrees): 8.5045 8.5045 8.5045 61.15 61.15 61.15
Fractional coordinates of all 36 atoms:
O 0.8124 0.0206 0.6026
O 0.8792 0.4948 0.6916
O 0.9518 0.7349 0.0994
O 0.7615 0.5530 0.4170
O 0.4274 0.5877 0.2415
O 0.9976 0.3808 0.1878
O 0.2415 0.4274 0.5877
O 0.3315 0.1133 0.4881
O 0.3808 0.1878 0.9976
O 0.1878 0.9976 0.3808
O 0.4170 0.7615 0.5530
O 0.2535 0.9130 0.0597
O 0.0994 0.9518 0.7349
O 0.5877 0.2415 0.4274
O 0.0597 0.2535 0.9130
O 0.6916 0.8792 0.4948
O 0.6026 0.8124 0.0206
O 0.0206 0.6026 0.8124
O 0.4881 0.3315 0.1133
O 0.9130 0.0597 0.2535
O 0.4948 0.6916 0.8792
O 0.7349 0.0994 0.9518
O 0.5530 0.4170 0.7615
O 0.1133 0.4881 0.3315
P 0.0461 0.4521 0.7518
P 0.2541 0.9580 0.5414
P 0.5414 0.2541 0.9580
P 0.9580 0.5414 0.2541
P 0.7518 0.0461 0.4521
P 0.4521 0.7518 0.0461
V 0.3564 0.3564 0.3564
V 0.1426 0.1426 0.1426
V 0.6439 0.6439 0.6439
Co 0.9976 0.9976 0.9976
Co 0.4994 0.4994 0.4994
Mn 0.8560 0.8560 0.8560

Values from the calculation:
Energy relative to the elements: -87.34 eV/f.u.

=====

A plane-wave DFT calculation with PBE with a Hubbard U was carried out for an optimized crystal structure of VCrP2O8.

Lattice parameters (Å, degrees): 8.5608 8.5608 8.5608 60.34 60.34 60.34
Fractional coordinates of all 36 atoms:
Cr 0.9998 0.9998 0.9998
Cr 0.4995 0.4995 0.4995
Cr 0.8573 0.8573 0.8573
O 0.9432 0.7420 0.0875
O 0.5863 0.2410 0.4387
O 0.2410 0.4387 0.5863
O 0.8843 0.4939 0.6890
O 0.7581 0.5610 0.4125
O 0.6890 0.8843 0.4939
O 0.7420 0.0875 0.9432
O 0.8097 0.0095 0.6145
O 0.1137 0.5041 0.3143
O 0.0594 0.2581 0.9117
O 0.6145 0.8097 0.0095
O 0.4939 0.6890 0.8843
O 0.9117 0.0594 0.2581
O 0.1888 0.9927 0.3861
O 0.4387 0.5863 0.2410
O 0.2581 0.9117 0.0594
O 0.3861 0.1888 0.9927
O 0.0095 0.6145 0.8097
O 0.4125 0.7581 0.5610
O 0.5610 0.4125 0.7581
O 0.3143 0.1137 0.5041
O 0.5041 0.3143 0.1137
O 0.9927 0.3861 0.1888
O 0.0875 0.9432 0.7420
V 0.3561 0.3561 0.3561
V 0.6434 0.6434 0.6434
V 0.1431 0.1431 0.1431
P 0.2499 0.9566 0.5437
P 0.5437 0.2499 0.9566
P 0.7500 0.0425 0.4579
P 0.9566 0.5437 0.2499
P 0.0425 0.4579 0.7500
P 0.4579 0.7500 0.0425

Values from the calculation:
Energy relative to the elements: -30.76 eV/f.u.

=====

A plane-wave DFT calculation with PBE with a Hubbard U was carried out for an optimized crystal structure of Li2Mn4Si4O13.

Lattice parameters (Å, degrees): 6.9855 8.0601 10.3982 111.57 89.80 101.95
Fractional coordinates of all 46 atoms:
O 0.7191 0.3583 0.1247
O 0.1370 0.6968 0.6561
O 0.8653 0.9926 0.3842
O 0.1379 0.0057 0.8846
O 0.2170 0.3722 0.6136
O 0.3900 0.0114 0.1163
O 0.4994 0.6824 0.1588
O 0.1347 0.0074 0.6158
O 0.6100 0.9886 0.8837
O 0.5964 0.9791 0.6110
O 0.8387 0.8242 0.6978
O 0.4036 0.0209 0.3890
O 0.0976 0.7002 0.1633
O 0.4957 0.6676 0.6626
O 0.8630 0.3032 0.3439
O 0.9024 0.2998 0.8367
O 0.7258 0.3755 0.6533
O 0.2809 0.6417 0.8753
O 0.1613 0.1758 0.3022
O 0.2122 0.3751 0.0697
O 0.5006 0.3176 0.8412
O 0.2742 0.6245 0.3467
O 0.7878 0.6249 0.9303
O 0.5043 0.3324 0.3374
O 0.8621 0.9943 0.1154
O 0.7830 0.6278 0.3864
Mn 0.9171 0.1925 0.9976
Mn 0.0829 0.8075 0.0024
Mn 0.5756 0.8167 0.3888
Mn 0.5702 0.8086 0.0081
Mn 0.4244 0.1833 0.6112
Mn 0.9281 0.1910 0.6065
Mn 0.0719 0.8090 0.3935
Mn 0.4298 0.1914 0.9919
Si 0.9239 0.1034 0.2804
Si 0.2785 0.5895 0.7083
Si 0.7300 0.4097 0.8217
Si 0.0761 0.8966 0.7196
Si 0.7215 0.4105 0.2917
Si 0.2700 0.5903 0.1783
Si 0.6270 0.8832 0.7195
Si 0.3730 0.1168 0.2805
Li 0.2277 0.3988 0.8858
Li 0.2559 0.4366 0.4154
Li 0.7441 0.5634 0.5846
Li 0.7723 0.6012 0.1142

Values from the calculation:
Energy relative to the elements: -63.12 eV/f.u.

=====

A plane-wave DFT calculation with PBE with a Hubbard U was carried out for an optimized crystal structure of CrCuO2.

Lattice parameters (Å, degrees): 3.0581 3.0581 11.5600 97.60 97.60 60.00
Fractional coordinates of all 8 atoms:
Cr 0.7500 0.7500 0.2500
Cr 0.2500 0.2500 0.7500
Cu 0.0000 0.0000 0.0000
Cu 0.5000 0.5000 0.5000
O 0.9460 0.9460 0.8379
O 0.5540 0.5540 0.6621
O 0.4460 0.4460 0.3379
O 0.0540 0.0540 0.1621

Values from the calculation:
Energy relative to the elements: -7.14 eV/f.u.

=====

A plane-wave DFT calculation with PBE with a Hubbard U was carried out for an optimized crystal structure of Li5Mn4P8O28.

Lattice parameters (Å, degrees): 9.7104 9.7192 11.2678 90.19 102.67 89.40
Fractional coordinates of all 90 atoms:
O 0.4197 0.5908 0.2728
O 0.0681 0.9154 0.1094
O 0.8225 0.7050 0.5925
O 0.3270 0.3172 0.7021
O 0.9173 0.0784 0.8882
O 0.0803 0.0849 0.7292
O 0.6823 0.2051 0.4102
O 0.6238 0.9507 0.2096
O 0.7246 0.8597 0.0050
O 0.2744 0.1594 0.9940
O 0.8157 0.1708 0.1604
O 0.8710 0.9256 0.7065
O 0.8762 0.4586 0.7870
O 0.5214 0.0832 0.6266
O 0.9063 0.4043 0.2170
O 0.0286 0.2653 0.0769
O 0.1056 0.5898 0.7872
O 0.0197 0.4190 0.6240
O 0.3666 0.0466 0.7818
O 0.3855 0.8378 0.1600
O 0.5644 0.5669 0.1059
O 0.6280 0.4257 0.2928
O 0.5237 0.2291 0.0864
O 0.6758 0.6808 0.3009
O 0.7215 0.4326 0.5174
O 0.1828 0.2909 0.4133
O 0.7892 0.9390 0.4800
O 0.2259 0.6597 0.0037
O 0.0353 0.8416 0.5734
O 0.1796 0.8195 0.3087
O 0.9747 0.7311 0.9151
O 0.4418 0.4371 0.8940
O 0.3699 0.5720 0.7020
O 0.3216 0.3313 0.1739
O 0.9686 0.1617 0.4372
O 0.8303 0.1860 0.6881
O 0.8818 0.6506 0.1494
O 0.4665 0.3454 0.4271
O 0.6095 0.1510 0.8536
O 0.2884 0.5570 0.4755
O 0.1164 0.3409 0.8450
O 0.5948 0.9049 0.7843
O 0.5346 0.6538 0.5703
O 0.4865 0.9293 0.3793
O 0.1287 0.5507 0.2175
O 0.7772 0.3563 0.9979
O 0.1220 0.0740 0.2958
O 0.9176 0.9113 0.2715
O 0.4760 0.7692 0.9229
O 0.1774 0.8299 0.8252
O 0.3208 0.7917 0.5883
O 0.3945 0.0887 0.2102
O 0.2131 0.0546 0.5224
O 0.5837 0.4129 0.7265
O 0.9762 0.5803 0.3764
O 0.6876 0.6706 0.8431
P 0.8788 0.8504 0.5794
P 0.5636 0.5728 0.2397
P 0.5214 0.0542 0.7560
P 0.3777 0.2103 0.1105
P 0.8911 0.2885 0.1082
P 0.4725 0.9447 0.2451
P 0.6153 0.7926 0.8929
P 0.4368 0.4282 0.7593
P 0.3778 0.6462 0.5749
P 0.6209 0.3509 0.4187
P 0.0288 0.4463 0.7576
P 0.1235 0.1484 0.4256
P 0.1189 0.7128 0.8876
P 0.0665 0.9268 0.2425
P 0.9323 0.0724 0.7576
P 0.9755 0.5522 0.2460
Li 0.3373 0.9222 0.4609
Li 0.5895 0.3926 0.0305
Li 0.6467 0.0607 0.5261
Li 0.1704 0.4244 0.5401
Li 0.8835 0.2807 0.5481
Li 0.6493 0.0890 0.0441
Li 0.8528 0.5873 0.9568
Li 0.4090 0.6085 0.9737
Li 0.9184 0.9060 0.9723
Li 0.8252 0.5874 0.4532
Mn 0.2327 0.7207 0.1724
Mn 0.2597 0.2119 0.8296
Mn 0.7661 0.2785 0.8316
Mn 0.2998 0.4253 0.3239
Mn 0.7999 0.0747 0.3249
Mn 0.7007 0.5767 0.6727
Mn 0.7403 0.7854 0.1743
Mn 0.1995 0.9237 0.6725

Values from the calculation:
Energy relative to the elements: -114.24 eV/f.u.

=====

A plane-wave DFT calculation with PBE with a Hubbard U was carried out for an optimized crystal structure of Mn3OF5.

Lattice parameters (Å, degrees): 5.8865 5.8865 7.5054 73.68 73.68 73.86
Fractional coordinates of all 18 atoms:
F 0.3647 0.9715 0.3262
F 0.3023 0.6956 0.0072
F 0.4181 0.4181 0.3753
F 0.9715 0.3647 0.3262
F 0.6956 0.3023 0.0072
F 0.1207 0.1207 0.6940
F 0.6396 0.0241 0.6641
F 0.0241 0.6396 0.6641
F 0.7680 0.7680 0.0358
F 0.8967 0.8967 0.2986
Mn 0.0116 0.0116 0.0019
Mn 0.6598 0.6598 0.3463
Mn 0.3417 0.3417 0.6807
Mn 0.3280 0.3280 0.1546
Mn 0.6604 0.6604 0.8251
Mn 0.0025 0.0025 0.5025
O 0.5527 0.5527 0.6353
O 0.2420 0.2420 0.9546

Values from the calculation:
Energy relative to the elements: -24.51 eV/f.u.

=====

A plane-wave DFT calculation with PBE with a Hubbard U was carried out for an optimized crystal structure of Mn3NbF6.

Lattice parameters (Å, degrees): 6.0251 7.5865 7.9244 80.33 115.55 112.86
Fractional coordinates of all 10 atoms:
Mn 0.5000 0.5000 0.0000
Mn 0.0000 0.5000 0.0000
Mn 0.0000 0.0000 0.5000
F 0.0754 0.0065 0.2887
F 0.6350 0.7956 0.9314
F 0.1587 0.7883 0.0684
F 0.3650 0.2044 0.0686
F 0.8413 0.2117 0.9316
F 0.9246 0.9935 0.7113
Nb 0.0000 0.0000 0.0000

Values from the calculation:
Energy relative to the elements: -18.93 eV/f.u.

=====

A plane-wave DFT calculation with PBE with a Hubbard U was carried out for an optimized crystal structure of Li3V2OF7.

Lattice parameters (Å, degrees): 5.9332 5.9066 10.4244 75.79 88.10 118.16
Fractional coordinates of all 26 atoms:
Li 0.3127 0.1210 0.0603
Li 0.2491 0.4926 0.2462
Li 0.1866 0.8871 0.4437
Li 0.6866 0.8871 0.9438
Li 0.7491 0.4926 0.7462
Li 0.8127 0.1210 0.5603
O 0.0900 0.2472 0.1238
O 0.5897 0.2471 0.6238
F 0.3619 0.7507 0.8755
F 0.3619 0.2734 0.3822
F 0.1461 0.2497 0.6247
F 0.8618 0.2734 0.8822
F 0.8620 0.7508 0.3755
F 0.4072 0.7540 0.3769
F 0.6464 0.2499 0.1246
F 0.3742 0.2285 0.8672
F 0.1271 0.7346 0.1140
F 0.6071 0.7643 0.1369
F 0.9071 0.7541 0.8769
F 0.1071 0.7642 0.6368
F 0.8742 0.2285 0.3672
F 0.6273 0.7347 0.6139
V 0.0091 0.4897 0.0044
V 0.5090 0.4895 0.5045
V 0.2685 0.0089 0.7449
V 0.7687 0.0089 0.2449

Values from the calculation:
Energy relative to the elements: -40.03 eV/f.u.